A relaxed Li6Mn3VP6O24 crystal. Source: Materials Project, functional GGA+U.

Lattice parameters (Å, degrees): 8.6016 8.6650 12.4843 90.00 92.19 90.00
Closest atoms and distances in Å follow each position.
Space group P2_1 (No. 4)
Symmetry-distinct sites (fractional):
Li: 0.0388 0.0000 0.0763  4 O 1.97-2.03
Li: 0.1648 0.0886 0.4894  4 O 1.98-2.19
Li: 0.1700 0.6989 0.5522  4 O 2.00-2.11
Li: 0.3308 0.4769 0.0094  4 O 1.97-2.11
Li: 0.3319 0.8649 0.9467  4 O 1.99-2.10
Li: 0.4579 0.5651 0.4242  4 O 2.00-2.05
Mn: 0.0017 0.2449 0.6527  5 O 1.92-2.06
Mn: 0.0015 0.3242 0.1407  4 O 1.89-2.05
Mn: 0.4998 0.3196 0.8511  5 O 1.93-2.05
V: 0.4963 0.2404 0.3605  6 O 1.92-2.12
P: 0.1441 0.3986 0.3882  4 O 1.54-1.58
P: 0.1497 0.6850 0.0927  4 O 1.51-1.58
P: 0.2128 0.5288 0.7537  4 O 1.53-1.57
P: 0.2891 0.0309 0.7445  4 O 1.53-1.56
P: 0.3482 0.8832 0.4022  4 O 1.50-1.57
P: 0.3523 0.1662 0.1080  4 O 1.53-1.58
O: 0.0500 0.2794 0.4501  1 P 1.54
O: 0.0759 0.7424 0.1932  1 P 1.51
O: 0.0795 0.6036 0.8120  1 P 1.53
O: 0.1010 0.5224 0.0542  1 P 1.54
O: 0.1083 0.5693 0.4243  1 P 1.58
O: 0.1116 0.8069 0.0012  1 P 1.58
O: 0.1134 0.3875 0.2661  1 P 1.54
O: 0.1511 0.4077 0.6717  1 P 1.55
O: 0.1664 0.8950 0.3967  1 P 1.57
O: 0.1747 0.1875 0.0834  1 P 1.56
O: 0.1803 0.1001 0.6540  1 P 1.56
O: 0.2030 0.9148 0.8154  1 P 1.55
O: 0.3002 0.6450 0.6835  1 P 1.55
O: 0.3210 0.3763 0.4132  1 P 1.55
O: 0.3231 0.4601 0.8443  1 P 1.57
O: 0.3324 0.6764 0.0994  1 P 1.57
O: 0.3565 0.1510 0.8238  1 P 1.53
O: 0.3878 0.7643 0.4943  1 P 1.57
O: 0.3902 0.9964 0.0721  1 P 1.58
O: 0.3905 0.1816 0.2285  1 P 1.53
O: 0.4024 0.0478 0.4399  1 P 1.57
O: 0.4203 0.8264 0.3018  1 P 1.50
O: 0.4217 0.9505 0.6843  1 P 1.55
O: 0.4453 0.2862 0.0452  1 P 1.54

Values from the calculation:
energy above the lowest structure with this stoichiometry: 0 meV per atom
mass density: 3.0 g/cm³
V: 929.8 Å³ per cell
formation energy from the elements: -2.61 eV per atom
magnetic moment: 0.35 μB/atom